DFT (PBE-GGA) results for a relaxed structure of UH6C2SeN3O7.

## Properties
calculated density: 3.3 g cm⁻³
electronic total energy: -270.51 eV/cell

Cell: 7.171 8.001 9.317 Å, 92.80 105.79 96.63°
Sites, in units of the cell vectors:
U  0.153  0.261  0.306
U  0.847  0.739  0.694
H  0.143  0.322  0.739
H  0.195  0.397  0.925
H  0.343  0.149  0.660
H  0.355  0.776  0.964
H  0.443  0.895  0.212
H  0.482  0.332  0.098
H  0.518  0.668  0.902
H  0.557  0.105  0.788
H  0.645  0.224  0.036
H  0.657  0.851  0.340
H  0.805  0.603  0.075
H  0.857  0.678  0.261
C  0.102  0.974  0.016
C  0.396  0.258  0.873
C  0.604  0.742  0.127
C  0.898  0.026  0.984
Se  0.282  0.668  0.542
Se  0.718  0.332  0.458
N  0.222  0.317  0.847
N  0.441  0.171  0.763
N  0.477  0.714  0.991
N  0.523  0.286  0.009
N  0.559  0.829  0.237
N  0.778  0.683  0.153
O  0.132  0.875  0.917
O  0.145  0.688  0.666
O  0.149  0.426  0.178
O  0.167  0.096  0.436
O  0.225  0.033  0.138
O  0.252  0.449  0.512
O  0.488  0.292  0.336
O  0.512  0.708  0.664
O  0.748  0.551  0.488
O  0.775  0.967  0.862
O  0.833  0.904  0.564
O  0.851  0.574  0.822
O  0.855  0.312  0.334
O  0.868  0.125  0.083


DFT (PBE-GGA) results for a relaxed structure of AgGeO3.

## Properties
calculated density: 5.0 g cm⁻³
electronic total energy: -53.86 eV/cell

Cell: 3.170 5.158 9.309 Å, 89.60 89.96 89.61°
Sites, in units of the cell vectors:
Ag  0.000  0.000  0.000
Ag  0.008  0.993  0.499
Ge  0.503  0.406  0.250
Ge  0.510  0.589  0.752
O  0.001  0.587  0.250
O  0.012  0.410  0.754
O  0.499  0.219  0.090
O  0.503  0.784  0.908
O  0.505  0.211  0.407
O  0.510  0.772  0.589


no.,total magnetization (μB per cell),energy relative to the elements (kcal/mol of atoms)
1,0.0,-30.92
2,0.0,-30.85